Record 1
A plane-wave DFT calculation with PBE-GGA was carried out for KCuH3 after structural relaxation.

abc: 5.398 5.398 5.398
angles: 114.66 114.66 99.53
Fractional positions:
K  0.250  0.250  0.000
K  0.750  0.750  0.000
Cu  0.000  0.500  0.500
Cu  0.500  0.000  0.500
H  0.190  0.690  0.880
H  0.250  0.750  0.500
H  0.310  0.190  0.500
H  0.690  0.810  0.500
H  0.750  0.250  0.500
H  0.810  0.310  0.120

***

Record 2
A plane-wave DFT calculation with PBE-GGA was carried out for MoBr4N2 after structural relaxation.

Total magnetization in μB per formula unit: 5.0

abc: 8.694 8.694 8.694
angles: 104.28 104.28 120.45
Fractional positions:
Mo  0.149  0.149  0.000
Mo  0.851  0.851  0.000
Br  0.012  0.788  0.225
Br  0.212  0.437  0.225
Br  0.212  0.988  0.775
Br  0.437  0.212  0.225
Br  0.563  0.788  0.775
Br  0.788  0.012  0.225
Br  0.788  0.563  0.775
Br  0.988  0.212  0.775
N  0.271  0.271  0.541
N  0.271  0.729  0.000
N  0.729  0.271  0.000
N  0.729  0.729  0.459

***

no.,formation energy from the elements (kJ/mol of formula units)
1,-54
2,756